(1)
VASP calculation (GGA-PBE) on a relaxed structure of AgH12C4S5N.

Symmetry: Cc
Total DFT energy (no corrections), eV/atom: -4.87
Energy relative to the elements, eV/atom: -0.2369

Lattice parameters (Å, degrees): 10.832 10.832 7.220 73.88 73.88 118.69
Positions (direct):
H 0.203 0.536 0.887
H 0.120 0.211 0.142
H 0.146 0.239 0.365
H 0.237 0.575 0.188
H 0.255 0.811 0.894
H 0.211 0.120 0.642
H 0.287 0.403 0.086
H 0.536 0.203 0.387
H 0.239 0.146 0.865
H 0.154 0.871 0.045
H 0.575 0.237 0.688
H 0.999 0.473 0.017
H 0.413 0.096 0.969
H 0.126 0.847 0.821
H 0.811 0.255 0.394
H 0.344 0.037 0.443
H 0.034 0.513 0.320
H 0.847 0.126 0.321
H 0.403 0.287 0.586
H 0.871 0.154 0.545
H 0.037 0.344 0.943
H 0.513 0.034 0.820
H 0.096 0.413 0.469
H 0.473 0.999 0.517
C 0.211 0.884 0.883
C 0.298 0.161 0.702
C 0.110 0.473 0.306
C 0.161 0.298 0.202
C 0.433 0.075 0.500
C 0.075 0.433 0.000
C 0.884 0.211 0.383
C 0.473 0.110 0.806
Ag 0.825 0.781 0.275
Ag 0.781 0.825 0.775
N 0.057 0.353 0.223
N 0.353 0.057 0.723
S 0.875 0.008 0.944
S 0.768 0.527 0.255
S 0.686 0.015 0.089
S 0.527 0.768 0.755
S 0.781 0.481 0.802
S 0.675 0.521 0.044
S 0.008 0.875 0.444
S 0.015 0.686 0.589
S 0.521 0.675 0.544
S 0.481 0.781 0.302


(2)
VASP calculation (GGA-PBE) on a relaxed structure of AgH6CSN3.

Symmetry: C2/c
Total DFT energy (no corrections), eV/atom: -5.30
Energy relative to the elements, eV/atom: -0.3007

Lattice parameters (Å, degrees): 7.274 7.707 13.337 96.60 90.00 118.16
Positions (direct):
N 0.060 0.658 0.887
N 0.598 0.658 0.387
N 0.383 0.196 0.165
N 0.382 0.773 0.102
N 0.940 0.342 0.113
N 0.618 0.227 0.898
N 0.813 0.196 0.665
N 0.402 0.342 0.613
N 0.609 0.227 0.398
N 0.187 0.804 0.335
N 0.391 0.773 0.602
N 0.617 0.804 0.835
H 0.598 0.530 0.400
H 0.223 0.787 0.262
H 0.132 0.625 0.828
H 0.453 0.291 0.550
H 0.838 0.291 0.050
H 0.868 0.375 0.172
H 0.931 0.530 0.900
H 0.507 0.375 0.672
H 0.401 0.083 0.126
H 0.853 0.324 0.635
H 0.147 0.676 0.365
H 0.777 0.213 0.738
H 0.563 0.787 0.762
H 0.471 0.324 0.135
H 0.069 0.470 0.100
H 0.402 0.470 0.600
H 0.547 0.709 0.450
H 0.318 0.917 0.374
H 0.493 0.625 0.328
H 0.529 0.676 0.865
H 0.437 0.213 0.238
H 0.599 0.917 0.874
H 0.682 0.083 0.626
H 0.162 0.709 0.950
S 0.240 0.247 0.883
S 0.007 0.247 0.383
S 0.993 0.753 0.617
S 0.760 0.753 0.117
C 0.457 0.231 0.891
C 0.226 0.769 0.609
C 0.774 0.231 0.391
C 0.543 0.769 0.109
Ag 0.927 0.891 0.350
Ag 0.036 0.109 0.150
Ag 0.073 0.109 0.650
Ag 0.964 0.891 0.850


(3)
VASP calculation (GGA-PBE) on a relaxed structure of AgH12C4Se5N.

Symmetry: Cc
Total DFT energy (no corrections), eV/atom: -4.73
Energy relative to the elements, eV/atom: -0.1288

Lattice parameters (Å, degrees): 11.120 11.120 7.587 72.76 72.76 117.21
Positions (direct):
H 0.318 0.038 0.168
H 0.620 0.953 0.751
H 0.921 0.360 0.580
H 0.304 0.029 0.941
H 0.694 0.167 0.944
H 0.124 0.814 0.523
H 0.167 0.694 0.444
H 0.947 0.045 0.847
H 0.769 0.892 0.878
H 0.103 0.791 0.987
H 0.953 0.620 0.251
H 0.035 0.944 0.116
H 0.944 0.035 0.616
H 0.967 0.634 0.566
H 0.791 0.103 0.487
H 0.045 0.947 0.347
H 0.038 0.318 0.668
H 0.814 0.124 0.023
H 0.892 0.769 0.378
H 0.680 0.152 0.634
H 0.152 0.680 0.134
H 0.634 0.967 0.066
H 0.360 0.921 0.080
H 0.029 0.304 0.441
Se 0.641 0.508 0.894
Se 0.412 0.713 0.639
Se 0.145 0.277 0.032
Se 0.144 0.496 0.877
Se 0.713 0.412 0.139
Se 0.400 0.641 0.168
Se 0.277 0.145 0.532
Se 0.641 0.400 0.668
Se 0.496 0.144 0.377
Se 0.508 0.641 0.394
C 0.963 0.287 0.597
C 0.734 0.092 0.961
C 0.720 0.078 0.647
C 0.078 0.720 0.147
C 0.287 0.963 0.097
C 0.014 0.875 0.273
C 0.875 0.014 0.773
C 0.092 0.734 0.461
Ag 0.371 0.333 0.690
Ag 0.333 0.371 0.190
N 0.118 0.823 0.244
N 0.823 0.118 0.744


(4)
VASP calculation (GGA-PBE) on a relaxed structure of UAg2P2H2CO8.

Symmetry: P2_1/c
Total DFT energy (no corrections), eV/atom: -6.84
Energy relative to the elements, eV/atom: -1.9684

Lattice parameters (Å, degrees): 8.148 8.310 12.765 90.00 90.00 95.00
Positions (direct):
H 0.879 0.011 0.242
H 0.379 0.511 0.258
H 0.260 0.845 0.797
H 0.760 0.345 0.703
H 0.621 0.489 0.742
H 0.121 0.989 0.758
H 0.240 0.655 0.297
H 0.740 0.155 0.203
O 0.299 0.895 0.568
O 0.516 0.076 0.889
O 0.642 0.453 0.317
O 0.358 0.547 0.683
O 0.810 0.778 0.667
O 0.131 0.313 0.126
O 0.950 0.533 0.184
O 0.475 0.271 0.139
O 0.025 0.229 0.639
O 0.050 0.467 0.816
O 0.690 0.722 0.167
O 0.142 0.953 0.183
O 0.975 0.771 0.361
O 0.190 0.222 0.333
O 0.737 0.574 0.521
O 0.237 0.074 0.979
O 0.763 0.926 0.021
O 0.201 0.605 0.068
O 0.310 0.278 0.833
O 0.550 0.967 0.684
O 0.799 0.395 0.932
O 0.016 0.576 0.611
O 0.631 0.813 0.374
O 0.858 0.047 0.817
O 0.869 0.687 0.874
O 0.450 0.033 0.316
O 0.701 0.105 0.432
O 0.484 0.924 0.111
O 0.369 0.187 0.626
O 0.984 0.424 0.389
O 0.263 0.426 0.479
O 0.525 0.729 0.861
Ag 0.539 0.307 0.485
Ag 0.039 0.807 0.015
Ag 0.160 0.994 0.434
Ag 0.961 0.193 0.985
Ag 0.660 0.494 0.066
Ag 0.461 0.693 0.515
Ag 0.340 0.506 0.934
Ag 0.840 0.006 0.566
U 0.689 0.889 0.835
U 0.311 0.111 0.165
U 0.811 0.611 0.335
U 0.189 0.389 0.665
C 0.249 0.529 0.274
C 0.749 0.029 0.226
C 0.751 0.471 0.726
C 0.251 0.971 0.774
P 0.873 0.506 0.845
P 0.667 0.892 0.125
P 0.127 0.494 0.155
P 0.167 0.392 0.375
P 0.373 0.006 0.655
P 0.627 0.994 0.345
P 0.833 0.608 0.625
P 0.333 0.108 0.875


(5)
VASP calculation (GGA-PBE) on a relaxed structure of AgH11C4S3O3.

Symmetry: P2_1/c
Total DFT energy (no corrections), eV/atom: -5.09
Energy relative to the elements, eV/atom: -0.4397

Lattice parameters (Å, degrees): 7.692 9.804 16.859 55.79 90.00 90.00
Positions (direct):
H 0.251 0.826 0.086
H 0.344 0.166 0.049
H 0.318 0.010 0.476
H 0.249 0.525 0.222
H 0.155 0.878 0.475
H 0.541 0.861 0.851
H 0.864 0.147 0.158
H 0.453 0.416 0.763
H 0.047 0.416 0.263
H 0.345 0.878 0.975
H 0.763 0.662 0.661
H 0.324 0.974 0.167
H 0.844 0.834 0.451
H 0.636 0.147 0.658
H 0.547 0.584 0.237
H 0.136 0.853 0.842
H 0.010 0.009 0.843
H 0.263 0.338 0.839
H 0.749 0.475 0.278
H 0.959 0.861 0.351
H 0.751 0.174 0.414
H 0.490 0.009 0.343
H 0.459 0.139 0.149
H 0.845 0.122 0.525
H 0.656 0.834 0.951
H 0.676 0.026 0.833
H 0.041 0.139 0.649
H 0.737 0.662 0.161
H 0.824 0.026 0.333
H 0.990 0.991 0.157
H 0.655 0.122 0.025
H 0.751 0.475 0.778
H 0.953 0.584 0.737
H 0.251 0.525 0.722
H 0.182 0.010 0.976
H 0.510 0.991 0.657
H 0.249 0.826 0.586
H 0.749 0.174 0.914
H 0.682 0.990 0.524
H 0.176 0.974 0.667
H 0.364 0.853 0.342
H 0.237 0.338 0.339
H 0.818 0.990 0.024
H 0.156 0.166 0.549
C 0.976 0.124 0.126
C 0.274 0.882 0.509
C 0.774 0.118 0.991
C 0.666 0.551 0.215
C 0.339 0.109 0.127
C 0.334 0.449 0.785
C 0.524 0.124 0.626
C 0.834 0.551 0.715
C 0.024 0.876 0.874
C 0.726 0.118 0.491
C 0.226 0.882 0.009
C 0.661 0.891 0.873
C 0.161 0.109 0.627
C 0.839 0.891 0.373
C 0.166 0.449 0.285
C 0.476 0.876 0.374
S 0.105 0.562 0.335
S 0.447 0.763 0.503
S 0.895 0.438 0.665
S 0.053 0.763 0.003
S 0.664 0.807 0.342
S 0.836 0.807 0.842
S 0.553 0.237 0.497
S 0.336 0.193 0.658
S 0.164 0.193 0.158
S 0.395 0.562 0.835
S 0.605 0.438 0.165
S 0.947 0.237 0.997
O 0.975 0.284 0.743
O 0.231 0.591 0.870
O 0.016 0.549 0.586
O 0.525 0.284 0.243
O 0.269 0.591 0.370
O 0.025 0.716 0.257
O 0.984 0.451 0.414
O 0.516 0.451 0.914
O 0.484 0.549 0.086
O 0.475 0.716 0.757
O 0.731 0.409 0.630
O 0.769 0.409 0.130
Ag 0.189 0.498 0.041
Ag 0.311 0.498 0.541
Ag 0.811 0.502 0.959
Ag 0.689 0.502 0.459


(6)
VASP calculation (GGA-PBE) on a relaxed structure of SmAgH4C2SO10.

Symmetry: P2_1/c
Total DFT energy (no corrections), eV/atom: -6.35
Energy relative to the elements, eV/atom: -1.8056

Lattice parameters (Å, degrees): 14.205 6.696 9.063 82.39 90.00 90.00
Positions (direct):
H 0.977 0.798 0.477
H 0.401 0.324 0.547
H 0.098 0.090 0.098
H 0.477 0.202 0.023
H 0.950 0.601 0.590
H 0.901 0.676 0.953
H 0.402 0.090 0.598
H 0.099 0.324 0.047
H 0.598 0.910 0.402
H 0.523 0.798 0.977
H 0.450 0.399 0.910
H 0.902 0.910 0.902
H 0.550 0.601 0.090
H 0.023 0.202 0.523
H 0.599 0.676 0.453
H 0.050 0.399 0.410
C 0.778 0.123 0.517
C 0.237 0.649 0.525
C 0.222 0.877 0.483
C 0.763 0.351 0.475
C 0.737 0.351 0.975
C 0.278 0.877 0.983
C 0.722 0.123 0.017
C 0.263 0.649 0.025
O 0.294 0.561 0.449
O 0.091 0.223 0.135
O 0.927 0.166 0.945
O 0.409 0.223 0.635
O 0.012 0.274 0.423
O 0.988 0.726 0.577
O 0.191 0.568 0.639
O 0.032 0.119 0.741
O 0.968 0.881 0.259
O 0.573 0.166 0.445
O 0.167 0.964 0.562
O 0.596 0.362 0.200
O 0.404 0.638 0.800
O 0.667 0.036 0.938
O 0.230 0.958 0.871
O 0.591 0.777 0.365
O 0.909 0.777 0.865
O 0.706 0.439 0.551
O 0.794 0.439 0.051
O 0.730 0.042 0.629
O 0.073 0.834 0.055
O 0.462 0.431 0.352
O 0.038 0.431 0.852
O 0.833 0.036 0.438
O 0.512 0.726 0.077
O 0.468 0.119 0.241
O 0.206 0.561 0.949
O 0.770 0.042 0.129
O 0.904 0.362 0.700
O 0.532 0.881 0.759
O 0.962 0.569 0.148
O 0.691 0.432 0.861
O 0.096 0.638 0.300
O 0.538 0.569 0.648
O 0.488 0.274 0.923
O 0.809 0.432 0.361
O 0.427 0.834 0.555
O 0.309 0.568 0.139
O 0.270 0.958 0.371
O 0.333 0.964 0.062
Ag 0.255 0.284 0.773
Ag 0.755 0.716 0.727
Ag 0.745 0.716 0.227
Ag 0.245 0.284 0.273
S 0.973 0.272 0.808
S 0.473 0.728 0.692
S 0.527 0.272 0.308
S 0.027 0.728 0.192
Sm 0.910 0.226 0.214
Sm 0.590 0.226 0.714
Sm 0.410 0.774 0.286
Sm 0.090 0.774 0.786


The lowest energy relative to the elements belongs to which entry? UAg2P2H2CO8